Na3Zr2Al2P5SO24: relaxed, PBE-GGA.

Cell: 8.716 8.688 22.418 Å, 90.13 89.87 120.18°
Fractional positions:
O (0.849, 0.554, 0.028)
O (0.498, 0.850, 0.360)
O (0.303, 0.480, 0.758)
O (0.983, 0.163, 0.593)
O (0.164, 0.478, 0.974)
O (0.831, 0.822, 0.592)
O (0.520, 0.822, 0.758)
O (0.628, 0.112, 0.138)
O (0.464, 0.151, 0.244)
O (0.356, 0.491, 0.362)
O (0.630, 0.517, 0.637)
O (0.208, 0.021, 0.304)
O (0.042, 0.835, 0.413)
O (0.314, 0.473, 0.471)
O (0.176, 0.210, 0.413)
O (0.835, 0.018, 0.093)
O (0.151, 0.651, 0.074)
O (0.525, 0.685, 0.971)
O (0.495, 0.371, 0.420)
O (0.166, 0.685, 0.473)
O (0.349, 0.849, 0.574)
O (0.988, 0.824, 0.095)
O (0.487, 0.114, 0.636)
O (0.798, 0.831, 0.194)
O (0.628, 0.505, 0.920)
O (0.031, 0.831, 0.694)
O (0.032, 0.204, 0.914)
O (0.449, 0.152, 0.528)
O (0.700, 0.550, 0.528)
O (0.708, 0.155, 0.030)
O (0.208, 0.183, 0.806)
O (0.178, 0.482, 0.257)
O (0.847, 0.525, 0.743)
O (0.033, 0.207, 0.192)
O (0.341, 0.497, 0.074)
O (0.157, 0.500, 0.572)
O (0.793, 0.966, 0.692)
O (0.165, 0.204, 0.695)
O (0.626, 0.129, 0.420)
O (0.179, 0.015, 0.594)
O (0.974, 0.793, 0.806)
O (0.825, 0.028, 0.804)
O (0.144, 0.642, 0.359)
O (0.844, 0.314, 0.244)
O (0.175, 0.970, 0.196)
O (0.870, 0.502, 0.420)
O (0.689, 0.159, 0.743)
O (0.982, 0.180, 0.304)
O (0.450, 0.298, 0.028)
O (0.358, 0.858, 0.859)
O (0.816, 0.791, 0.305)
O (0.871, 0.374, 0.920)
O (0.844, 0.293, 0.531)
O (0.499, 0.132, 0.921)
O (0.893, 0.371, 0.640)
O (0.886, 0.513, 0.136)
O (0.679, 0.526, 0.243)
O (0.506, 0.645, 0.862)
O (0.518, 0.698, 0.258)
O (0.523, 0.837, 0.475)
O (0.167, 0.961, 0.914)
O (0.302, 0.831, 0.255)
O (0.177, 0.168, 0.093)
O (0.484, 0.368, 0.138)
O (0.173, 0.692, 0.756)
O (0.473, 0.317, 0.744)
O (0.500, 0.842, 0.072)
O (0.502, 0.659, 0.573)
O (0.787, 0.825, 0.914)
O (0.793, 0.966, 0.415)
O (0.316, 0.835, 0.973)
O (0.145, 0.497, 0.858)
Na (0.028, 0.334, 0.083)
Na (0.008, 0.995, 0.504)
Na (0.006, 0.993, 0.004)
Na (0.000, 0.363, 0.752)
Na (0.334, 0.667, 0.666)
Na (0.344, 0.672, 0.167)
Na (0.656, 0.327, 0.834)
Na (0.668, 0.974, 0.584)
Na (0.678, 0.337, 0.333)
P (0.703, 0.986, 0.749)
P (0.013, 0.297, 0.249)
P (0.700, 0.715, 0.248)
P (0.977, 0.336, 0.584)
P (0.662, 0.024, 0.083)
P (0.334, 0.939, 0.917)
P (0.010, 0.718, 0.749)
P (0.972, 0.644, 0.083)
P (0.063, 0.667, 0.416)
P (0.666, 0.638, 0.582)
P (0.363, 0.333, 0.083)
P (0.358, 0.029, 0.582)
P (0.287, 0.296, 0.749)
P (0.601, 0.939, 0.417)
P (0.059, 0.395, 0.917)
Al (0.332, 0.675, 0.812)
Al (0.332, 0.665, 0.313)
Al (0.003, 0.998, 0.649)
Al (0.329, 0.670, 0.520)
Al (0.330, 0.670, 0.020)
Al (0.990, 0.998, 0.148)
Zr (0.670, 0.337, 0.185)
Zr (0.662, 0.335, 0.684)
Zr (0.987, 0.991, 0.357)
Zr (0.666, 0.329, 0.980)
Zr (0.673, 0.334, 0.480)
Zr (0.006, 0.003, 0.856)
S (0.606, 0.665, 0.917)
S (0.283, 0.990, 0.249)
S (0.335, 0.392, 0.416)

Calculated values
ΔH_f (0 K): -2.93 eV/atom
Theoretical density: 3.0 Mg/m³